Below is a geometry-optimized Li2MgGe structure, with properties calculated at the GGA-PBE level.

a b c (Å): 4.475 4.475 4.475
angles (deg): 60.00 60.00 60.00
Atoms (fractional coordinates):
Li1 0.250 0.250 0.250
Li2 0.750 0.750 0.750
Mg1 0.000 0.000 0.000
Ge1 0.500 0.500 0.500

ΔE_f	-0.28	eV per atom
total magnetization	0.0	μB/cell
crystal system	cubic
SG	Fm-3m (225)
total energy	-2.7898	eV/atom